(1)
A plane-wave DFT calculation with r2SCAN was carried out for a relaxed structure of NaNdSe2.

Cell and atoms, written as CIF:
```
data_NaNdSe2
_chemical_formula_sum 'Na3 Nd3 Se6'
_cell_length_a 4.2666
_cell_length_b 4.2666
_cell_length_c 20.7922
_cell_angle_alpha 90.00
_cell_angle_beta 90.00
_cell_angle_gamma 120.00
_symmetry_space_group_name_H-M 'R -3 m'
_symmetry_Int_Tables_number 166
_symmetry_space_group_name_Hall '-R 3 2"'
loop_
_atom_site_label
_atom_site_type_symbol
_atom_site_fract_x
_atom_site_fract_y
_atom_site_fract_z
Na1 Na 0.0000 0.0000 0.0000
Nd1 Nd 0.0000 0.0000 0.5000
Se1 Se 0.0000 0.0000 0.2464
```

Output
Mass density in g/cm3: 4.941
Calculated total energy in eV/atom: -17.37
Volume in Å³/f.u.: 109.3
ΔE_f in eV per atom: -1.96

---

(2)
A plane-wave DFT calculation with r2SCAN was carried out for a relaxed structure of NaNdTl2.

Cell and atoms, written as CIF:
```
data_NaNdTl2
_chemical_formula_sum 'Na4 Nd4 Tl8'
_cell_length_a 7.613
_cell_length_b 7.613
_cell_length_c 7.613
_cell_angle_alpha 90.00
_cell_angle_beta 90.00
_cell_angle_gamma 90.00
_symmetry_space_group_name_H-M 'F m -3 m'
_symmetry_Int_Tables_number 225
_symmetry_space_group_name_Hall '-F 4 2 3'
loop_
_atom_site_label
_atom_site_type_symbol
_atom_site_fract_x
_atom_site_fract_y
_atom_site_fract_z
Na1 Na 0.000 0.000 0.000
Nd1 Nd 0.000 0.000 0.500
Tl1 Tl 0.250 0.250 0.250
```

Output
Mass density in g/cm3: 8.669
Calculated total energy in eV/atom: -35.20
Volume in Å³/f.u.: 110.3
ΔE_f in eV per atom: -0.36

---

(3)
A plane-wave DFT calculation with r2SCAN was carried out for a relaxed structure of Na5Ni6O12.

Cell and atoms, written as CIF:
```
data_Na5Ni6O12
_chemical_formula_sum 'Na5 Ni6 O12'
_cell_length_a 5.906
_cell_length_b 6.779
_cell_length_c 6.825
_cell_angle_alpha 66.80
_cell_angle_beta 76.68
_cell_angle_gamma 66.93
_symmetry_space_group_name_H-M 'P -1'
_symmetry_Int_Tables_number 2
_symmetry_space_group_name_Hall '-P 1'
loop_
_atom_site_label
_atom_site_type_symbol
_atom_site_fract_x
_atom_site_fract_y
_atom_site_fract_z
Na1 Na 0.000 0.000 0.000
Na2 Na 0.179 0.323 0.674
Na3 Na 0.338 0.686 0.317
Ni1 Ni 0.082 0.168 0.333
Ni2 Ni 0.252 0.498 0.998
Ni3 Ni 0.419 0.832 0.667
O1 O 0.051 0.056 0.639
O2 O 0.091 0.287 0.031
O3 O 0.210 0.397 0.300
O4 O 0.290 0.604 0.696
O5 O 0.400 0.714 0.969
O6 O 0.445 0.947 0.366
```

Output
Mass density in g/cm3: 4.756
Calculated total energy in eV/atom: -8.40
Volume in Å³/f.u.: 230.1
ΔE_f in eV per atom: -1.38

---

(4)
A plane-wave DFT calculation with r2SCAN was carried out for a relaxed structure of Na4Ni9O18.

Cell and atoms, written as CIF:
```
data_Na4Ni9O18
_chemical_formula_sum 'Na4 Ni9 O18'
_cell_length_a 6.986
_cell_length_b 7.062
_cell_length_c 7.395
_cell_angle_alpha 89.96
_cell_angle_beta 76.68
_cell_angle_gamma 74.62
_symmetry_space_group_name_H-M 'P 1'
_symmetry_Int_Tables_number 1
_symmetry_space_group_name_Hall 'P 1'
loop_
_atom_site_label
_atom_site_type_symbol
_atom_site_fract_x
_atom_site_fract_y
_atom_site_fract_z
Na1 Na 0.000 0.000 0.000
Na2 Na 0.106 0.897 0.397
Na3 Na 0.512 0.495 0.673
Na4 Na 0.619 0.390 0.070
Ni1 Ni 0.083 0.416 0.866
Ni2 Ni 0.199 0.300 0.200
Ni3 Ni 0.310 0.195 0.534
Ni4 Ni 0.422 0.089 0.868
Ni5 Ni 0.538 0.973 0.202
Ni6 Ni 0.651 0.868 0.534
Ni7 Ni 0.749 0.754 0.868
Ni8 Ni 0.871 0.635 0.200
Ni9 Ni 0.969 0.520 0.534
O1 O 0.079 0.236 0.434
O2 O 0.110 0.564 0.288
O3 O 0.187 0.147 0.776
O4 O 0.204 0.460 0.624
O5 O 0.279 0.041 0.104
O6 O 0.342 0.348 0.964
O7 O 0.416 0.930 0.444
O8 O 0.433 0.242 0.293
O9 O 0.511 0.825 0.779
O10 O 0.540 0.155 0.634
O11 O 0.631 0.704 0.113
O12 O 0.660 0.024 0.962
O13 O 0.745 0.581 0.434
O14 O 0.806 0.894 0.288
O15 O 0.813 0.495 0.781
O16 O 0.876 0.805 0.633
O17 O 0.960 0.365 0.106
O18 O 0.989 0.685 0.955
```

Output
Mass density in g/cm3: 4.415
Calculated total energy in eV/atom: -8.66
Volume in Å³/f.u.: 341.6
ΔE_f in eV per atom: -1.25

---

(5)
A plane-wave DFT calculation with r2SCAN was carried out for a relaxed structure of Na5Ni8O16.

Cell and atoms, written as CIF:
```
data_Na5Ni8O16
_chemical_formula_sum 'Na5 Ni8 O16'
_cell_length_a 5.784
_cell_length_b 6.797
_cell_length_c 8.110
_cell_angle_alpha 81.40
_cell_angle_beta 78.01
_cell_angle_gamma 78.90
_symmetry_space_group_name_H-M 'P -1'
_symmetry_Int_Tables_number 2
_symmetry_space_group_name_Hall '-P 1'
loop_
_atom_site_label
_atom_site_type_symbol
_atom_site_fract_x
_atom_site_fract_y
_atom_site_fract_z
Na1 Na 0.000 0.000 0.000
Na2 Na 0.000 0.500 0.500
Na3 Na 0.286 0.275 0.729
Na4 Na 0.500 0.000 0.000
Ni1 Ni 0.123 0.879 0.625
Ni2 Ni 0.128 0.373 0.126
Ni3 Ni 0.372 0.629 0.877
Ni4 Ni 0.378 0.120 0.372
O1 O 0.070 0.653 0.029
O2 O 0.101 0.149 0.537
O3 O 0.149 0.610 0.710
O4 O 0.180 0.091 0.220
O5 O 0.330 0.392 0.279
O6 O 0.339 0.907 0.794
O7 O 0.404 0.354 0.959
O8 O 0.425 0.851 0.477
```

Output
Mass density in g/cm3: 4.590
Calculated total energy in eV/atom: -8.53
Volume in Å³/f.u.: 304.0
ΔE_f in eV per atom: -1.31

---

(6)
A plane-wave DFT calculation with r2SCAN was carried out for a relaxed structure of Na9Ni11O20.

Cell and atoms, written as CIF:
```
data_Na9Ni11O20
_chemical_formula_sum 'Na9 Ni11 O20'
_cell_length_a 6.753
_cell_length_b 7.887
_cell_length_c 8.008
_cell_angle_alpha 64.33
_cell_angle_beta 86.32
_cell_angle_gamma 89.35
_symmetry_space_group_name_H-M 'P -1'
_symmetry_Int_Tables_number 2
_symmetry_space_group_name_Hall '-P 1'
loop_
_atom_site_label
_atom_site_type_symbol
_atom_site_fract_x
_atom_site_fract_y
_atom_site_fract_z
Na1 Na 0.000 0.000 0.000
Na2 Na 0.092 0.400 0.899
Na3 Na 0.194 0.802 0.798
Na4 Na 0.291 0.204 0.703
Na5 Na 0.386 0.602 0.595
Ni1 Ni 0.000 0.500 0.500
Ni2 Ni 0.102 0.900 0.402
Ni3 Ni 0.212 0.300 0.302
Ni4 Ni 0.305 0.700 0.198
Ni5 Ni 0.408 0.102 0.105
Ni6 Ni 0.500 0.000 0.500
Ni7 Ni 0.500 0.500 0.000
O1 O 0.044 0.744 0.264
O2 O 0.055 0.663 0.638
O3 O 0.146 0.151 0.175
O4 O 0.200 0.070 0.521
O5 O 0.236 0.523 0.074
O6 O 0.284 0.461 0.414
O7 O 0.328 0.931 0.976
O8 O 0.397 0.878 0.331
O9 O 0.431 0.339 0.885
O10 O 0.480 0.247 0.257
```

Output
Mass density in g/cm3: 5.076
Calculated total energy in eV/atom: -8.48
Volume in Å³/f.u.: 383.6
ΔE_f in eV per atom: -1.40

---

(7)
A plane-wave DFT calculation with r2SCAN was carried out for a relaxed structure of NaNi2O4.

Cell and atoms, written as CIF:
```
data_NaNi2O4
_chemical_formula_sum 'Na4 Ni8 O16'
_cell_length_a 5.688
_cell_length_b 4.847
_cell_length_c 12.333
_cell_angle_alpha 90.00
_cell_angle_beta 116.07
_cell_angle_gamma 90.00
_symmetry_space_group_name_H-M 'P 1 c 1'
_symmetry_Int_Tables_number 7
_symmetry_space_group_name_Hall 'P -2yc'
loop_
_atom_site_label
_atom_site_type_symbol
_atom_site_fract_x
_atom_site_fract_y
_atom_site_fract_z
Na1 Na 0.000 0.013 0.000
Na2 Na 0.500 0.359 0.503
Ni1 Ni 0.002 0.500 0.254
Ni2 Ni 0.252 0.002 0.754
Ni3 Ni 0.495 0.500 0.251
Ni4 Ni 0.743 0.003 0.249
O1 O 0.112 0.172 0.347
O2 O 0.180 0.314 0.162
O3 O 0.330 0.339 0.838
O4 O 0.386 0.182 0.658
O5 O 0.582 0.166 0.340
O6 O 0.673 0.343 0.168
O7 O 0.809 0.318 0.839
O8 O 0.916 0.157 0.665
```

Output
Mass density in g/cm3: 4.445
Calculated total energy in eV/atom: -8.62
Volume in Å³/f.u.: 76.4
ΔE_f in eV per atom: -1.28

---

(8)
A plane-wave DFT calculation with r2SCAN was carried out for a relaxed structure of Na7Ni10O20.

Cell and atoms, written as CIF:
```
data_Na7Ni10O20
_chemical_formula_sum 'Na7 Ni10 O20'
_cell_length_a 2.916
_cell_length_b 10.879
_cell_length_c 12.702
_cell_angle_alpha 107.74
_cell_angle_beta 91.59
_cell_angle_gamma 91.13
_symmetry_space_group_name_H-M 'P -1'
_symmetry_Int_Tables_number 2
_symmetry_space_group_name_Hall '-P 1'
loop_
_atom_site_label
_atom_site_type_symbol
_atom_site_fract_x
_atom_site_fract_y
_atom_site_fract_z
Na1 Na 0.000 0.000 0.000
Na2 Na 0.003 0.412 0.831
Na3 Na 0.489 0.882 0.770
Na4 Na 0.491 0.289 0.579
Ni1 Ni 0.000 0.500 0.500
Ni2 Ni 0.002 0.703 0.898
Ni3 Ni 0.005 0.898 0.300
Ni4 Ni 0.495 0.193 0.902
Ni5 Ni 0.499 0.406 0.301
Ni6 Ni 0.500 0.000 0.500
O1 O 0.023 0.069 0.838
O2 O 0.028 0.283 0.244
O3 O 0.031 0.468 0.638
O4 O 0.031 0.689 0.039
O5 O 0.032 0.876 0.439
O6 O 0.481 0.986 0.643
O7 O 0.487 0.387 0.443
O8 O 0.491 0.778 0.243
O9 O 0.493 0.172 0.050
O10 O 0.496 0.580 0.843
```

Output
Mass density in g/cm3: 4.624
Calculated total energy in eV/atom: -8.48
Volume in Å³/f.u.: 383.5
ΔE_f in eV per atom: -1.34

---

(9)
A plane-wave DFT calculation with r2SCAN was carried out for a relaxed structure of Na5NiO4.

Cell and atoms, written as CIF:
```
data_Na5NiO4
_chemical_formula_sum 'Na40 Ni8 O32'
_cell_length_a 5.885
_cell_length_b 17.786
_cell_length_c 10.152
_cell_angle_alpha 90.00
_cell_angle_beta 90.00
_cell_angle_gamma 90.00
_symmetry_space_group_name_H-M 'P b c a'
_symmetry_Int_Tables_number 61
_symmetry_space_group_name_Hall '-P 2ac 2ab'
loop_
_atom_site_label
_atom_site_type_symbol
_atom_site_fract_x
_atom_site_fract_y
_atom_site_fract_z
Na1 Na 0.073 0.138 0.204
Na2 Na 0.077 0.066 0.940
Na3 Na 0.084 0.501 0.158
Na4 Na 0.103 0.671 0.829
Na5 Na 0.105 0.749 0.582
Ni1 Ni 0.176 0.124 0.460
O1 O 0.139 0.621 0.049
O2 O 0.194 0.545 0.368
O3 O 0.233 0.712 0.372
O4 O 0.238 0.625 0.638
```

Output
Mass density in g/cm3: 2.971
Calculated total energy in eV/atom: -6.79
Volume in Å³/f.u.: 132.8
ΔE_f in eV per atom: -1.42

---

(10)
A plane-wave DFT calculation with r2SCAN was carried out for a relaxed structure of NaNi2O4.

Cell and atoms, written as CIF:
```
data_NaNi2O4
_chemical_formula_sum 'Na4 Ni8 O16'
_cell_length_a 4.865
_cell_length_b 5.664
_cell_length_c 11.064
_cell_angle_alpha 92.01
_cell_angle_beta 90.11
_cell_angle_gamma 91.20
_symmetry_space_group_name_H-M 'P 1'
_symmetry_Int_Tables_number 1
_symmetry_space_group_name_Hall 'P 1'
loop_
_atom_site_label
_atom_site_type_symbol
_atom_site_fract_x
_atom_site_fract_y
_atom_site_fract_z
Na1 Na 0.000 0.000 0.000
Na2 Na 0.025 0.514 0.503
Na3 Na 0.370 0.504 0.001
Na4 Na 0.660 0.008 0.500
Ni1 Ni 0.012 0.506 0.249
Ni2 Ni 0.013 0.505 0.754
Ni3 Ni 0.016 0.006 0.747
Ni4 Ni 0.018 0.003 0.253
Ni5 Ni 0.514 0.256 0.751
Ni6 Ni 0.514 0.257 0.249
Ni7 Ni 0.514 0.753 0.252
Ni8 Ni 0.514 0.756 0.751
O1 O 0.181 0.751 0.163
O2 O 0.184 0.273 0.156
O3 O 0.192 0.241 0.842
O4 O 0.192 0.745 0.844
O5 O 0.328 0.528 0.341
O6 O 0.349 0.496 0.666
O7 O 0.357 0.996 0.663
O8 O 0.358 0.014 0.335
O9 O 0.673 0.516 0.838
O10 O 0.675 0.500 0.165
O11 O 0.679 0.015 0.836
O12 O 0.697 0.978 0.163
O13 O 0.833 0.739 0.345
O14 O 0.836 0.767 0.658
O15 O 0.837 0.270 0.659
O16 O 0.857 0.260 0.338
```

Output
Mass density in g/cm3: 4.456
Calculated total energy in eV/atom: -8.62
Volume in Å³/f.u.: 76.2
ΔE_f in eV per atom: -1.28

---

(11)
A plane-wave DFT calculation with r2SCAN was carried out for a relaxed structure of Na6Ni7O14.

Cell and atoms, written as CIF:
```
data_Na6Ni7O14
_chemical_formula_sum 'Na18 Ni21 O42'
_cell_length_a 7.7043
_cell_length_b 7.7043
_cell_length_c 15.6843
_cell_angle_alpha 90.00
_cell_angle_beta 90.00
_cell_angle_gamma 120.00
_symmetry_space_group_name_H-M 'R -3'
_symmetry_Int_Tables_number 148
_symmetry_space_group_name_Hall '-R 3'
loop_
_atom_site_label
_atom_site_type_symbol
_atom_site_fract_x
_atom_site_fract_y
_atom_site_fract_z
Na1 Na 0.0521 0.8018 0.1708
Ni1 Ni 0.0000 0.0000 0.0000
Ni2 Ni 0.0532 0.8114 0.6654
O1 O 0.0000 0.0000 0.2703
O2 O 0.0326 0.8134 0.9340
O3 O 0.0394 0.7935 0.3940
```

Output
Mass density in g/cm3: 4.775
Calculated total energy in eV/atom: -8.38
Volume in Å³/f.u.: 268.7
ΔE_f in eV per atom: -1.38

---

(12)
A plane-wave DFT calculation with r2SCAN was carried out for a relaxed structure of Na5NpO6.

Cell and atoms, written as CIF:
```
data_Na5NpO6
_chemical_formula_sum 'Na10 Np2 O12'
_cell_length_a 5.762
_cell_length_b 9.911
_cell_length_c 5.697
_cell_angle_alpha 90.00
_cell_angle_beta 110.27
_cell_angle_gamma 90.00
_symmetry_space_group_name_H-M 'C 1 2/m 1'
_symmetry_Int_Tables_number 12
_symmetry_space_group_name_Hall '-C 2y'
loop_
_atom_site_label
_atom_site_type_symbol
_atom_site_fract_x
_atom_site_fract_y
_atom_site_fract_z
Na1 Na 0.000 0.000 0.000
Na2 Na 0.000 0.167 0.500
Na3 Na 0.000 0.323 0.000
Np1 Np 0.000 0.500 0.500
O1 O 0.212 0.500 0.287
O2 O 0.219 0.355 0.724
```

Output
Mass density in g/cm3: 4.874
Calculated total energy in eV/atom: -13.72
Volume in Å³/f.u.: 152.6
ΔE_f in eV per atom: -2.33